Record 1
# ZrCu (PBE, optimized geometry)
# - ΔE_f (meV per atom) = -107.7
# - calculated volume (Å³/atom) = 17.54
# - crystal system = cubic
data_ZrCu
_cell_length_a 3.273
_cell_length_b 3.273
_cell_length_c 3.273
_cell_angle_alpha 90.00
_cell_angle_beta 90.00
_cell_angle_gamma 90.00
_symmetry_space_group_name_H-M 'P m -3 m'
_symmetry_Int_Tables_number 221
_symmetry_space_group_name_Hall '-P 4 2 3'
loop_
_atom_site_label
_atom_site_type_symbol
_atom_site_fract_x
_atom_site_fract_y
_atom_site_fract_z
Zr1 Zr 0.000 0.000 0.000
Cu1 Cu 0.500 0.500 0.500


Record 2
# DyPdPb (PBE, optimized geometry)
# - ΔE_f (meV per atom) = -725.5
# - calculated volume (Å³/atom) = 23.15
# - crystal system = hexagonal
data_DyPdPb
_cell_length_a 7.8667
_cell_length_b 7.8667
_cell_length_c 3.8869
_cell_angle_alpha 90.00
_cell_angle_beta 90.00
_cell_angle_gamma 120.00
_symmetry_space_group_name_H-M 'P -6 2 m'
_symmetry_Int_Tables_number 189
_symmetry_space_group_name_Hall 'P -6 -2'
loop_
_atom_site_label
_atom_site_type_symbol
_atom_site_fract_x
_atom_site_fract_y
_atom_site_fract_z
Dy1 Dy 0.0000 0.5993 0.0000
Pd1 Pd 0.0000 0.0000 0.0000
Pd2 Pd 0.3333 0.6667 0.5000
Pb1 Pb 0.0000 0.2657 0.5000


Record 3
# K2ZrS2O10F2 (PBE, optimized geometry)
# - ΔE_f (meV per atom) = -2092.3
# - calculated volume (Å³/atom) = 16.11
# - crystal system = monoclinic
data_K2ZrS2O10F2
_cell_length_a 10.885
_cell_length_b 7.597
_cell_length_c 13.976
_cell_angle_alpha 90.00
_cell_angle_beta 108.58
_cell_angle_gamma 90.00
_symmetry_space_group_name_H-M 'P 1 21/c 1'
_symmetry_Int_Tables_number 14
loop_
_symmetry_equiv_pos_as_xyz
'x,y,z'
'-x,-y,-z'
'-x,y+1/2,-z+1/2'
'x,-y+1/2,z+1/2'
loop_
_atom_site_label
_atom_site_type_symbol
_atom_site_fract_x
_atom_site_fract_y
_atom_site_fract_z
K1 K 0.024 0.245 0.436
K2 K 0.349 0.012 0.174
Zr1 Zr 0.270 0.539 0.329
S1 S 0.028 0.241 0.183
S2 S 0.333 0.501 0.140
O1 O 0.025 0.620 0.891
O2 O 0.074 0.676 0.272
O3 O 0.079 0.091 0.141
O4 O 0.134 0.185 0.773
O5 O 0.248 0.640 0.172
O6 O 0.250 0.098 0.554
O7 O 0.270 0.674 0.841
O8 O 0.359 0.208 0.913
O9 O 0.373 0.114 0.734
O10 O 0.445 0.584 0.124
F1 F 0.226 0.518 0.460
F2 F 0.455 0.621 0.388